Entry from the Materials Project database: a relaxed MgCr3S6O24 crystal (PBE with a Hubbard U).

Values from the calculation:
symmetry	P1
E_form	-1.94	eV per atom
ΔE to the lowest computed polymorph	91	meV/atom
electronic total energy	-217.5	eV/f.u.
spin magnetization	8.0	μB/cell

a b c (Å): 8.9890 9.1827 9.0579
angles (deg): 54.50 54.42 55.44
Last column: nearest neighbours and their distance in Å.
Fractional coordinates of all 34 atoms:
Mg  0.5810  0.2270  0.8313  4 O 1.93-2.03
Cr  0.3504  0.3548  0.3578  6 O 2.01-2.05
Cr  0.6572  0.6523  0.6393  6 O 1.90-2.07
Cr  0.8492  0.8362  0.8488  6 O 1.97-2.15
S  0.0489  0.7287  0.4675  4 O 1.43-1.53
S  0.4699  0.0266  0.7369  4 O 1.42-1.57
S  0.7392  0.4688  0.0345  4 O 1.44-1.53
S  0.2513  0.5667  0.9526  4 O 1.48-1.50
S  0.5282  0.9596  0.2651  4 O 1.43-1.54
S  0.9562  0.2532  0.5361  4 O 1.43-1.59
O  0.1108  0.2747  0.5305  1 S 1.48
O  0.2682  0.5338  0.1238  1 S 1.48
O  0.0004  0.9203  0.3298  1 S 1.43
O  0.5091  0.1278  0.2727  1 S 1.49
O  0.0264  0.7178  0.6523  1 S 1.51
O  0.2499  0.5975  0.3952  1 S 1.49
O  0.3838  0.2250  0.6127  1 S 1.49
O  0.3364  0.9584  0.9298  1 S 1.42
O  0.6099  0.3816  0.2352  1 S 1.48
O  0.0448  0.6774  0.9758  1 S 1.48
O  0.3168  0.3839  0.9408  1 S 1.48
O  0.3471  0.9499  0.3223  1 S 1.43
O  0.6329  0.0425  0.7403  1 S 1.57
O  0.7076  0.6560  0.0202  1 S 1.51
O  0.9408  0.3483  0.9829  1 S 1.44
O  0.3731  0.6821  0.7668  1 S 1.50
O  0.6597  0.9824  0.0490  1 S 1.54
O  0.6494  0.7766  0.3767  1 S 1.50
O  0.7513  0.3882  0.6380  1 S 1.59
O  0.9687  0.2928  0.3526  1 S 1.43
O  0.5824  0.9053  0.6205  1 S 1.49
O  0.9426  0.0618  0.6934  1 S 1.51
O  0.6583  0.5090  0.9009  1 S 1.53
O  0.9221  0.6284  0.5274  1 S 1.53


Entry from the Materials Project database: a relaxed LiMn3B3O9 crystal (PBE with a Hubbard U).

Values from the calculation:
symmetry	P-1
E_form	-2.39	eV per atom
ΔE to the lowest computed polymorph	12	meV/atom
electronic total energy	-121.1	eV/f.u.
spin magnetization	26.0	μB/cell

a b c (Å): 5.4007 8.1031 9.2805
angles (deg): 105.09 106.48 87.58
Last column: nearest neighbours and their distance in Å.
Fractional coordinates of all 32 atoms:
Li  0.0223  0.6153  0.6998  3 O 1.90-2.02
Li  0.9777  0.3847  0.3002  3 O 1.90-2.02
Mn  0.1620  0.3655  0.8962  4 O 1.95-1.99
Mn  0.1902  0.9700  0.7796  4 O 2.02-2.16
Mn  0.8380  0.6345  0.1038  4 O 1.95-1.99
Mn  0.8098  0.0300  0.2204  4 O 2.02-2.16
Mn  0.4575  0.7104  0.5423  4 O 1.90-2.00
Mn  0.5425  0.2896  0.4577  4 O 1.90-2.00
B  0.5664  0.4825  0.7771  3 O 1.37-1.41
B  0.7556  0.8393  0.8739  3 O 1.34-1.41
B  0.4336  0.5175  0.2229  3 O 1.37-1.41
B  0.2444  0.1607  0.1261  3 O 1.34-1.41
B  0.8996  0.7831  0.4340  3 O 1.35-1.41
B  0.1004  0.2169  0.5660  3 O 1.35-1.41
O  0.3176  0.4943  0.7861  1 B 1.37
O  0.0442  0.1910  0.6976  1 B 1.41
O  0.5376  0.8609  0.7552  1 B 1.41
O  0.7764  0.4702  0.9010  1 B 1.39
O  0.9911  0.8181  0.8519  1 B 1.34
O  0.7126  0.8281  0.0129  1 B 1.40
O  0.2236  0.5298  0.0990  1 B 1.39
O  0.2874  0.1719  0.9871  1 B 1.40
O  0.6824  0.5057  0.2139  1 B 1.37
O  0.0089  0.1819  0.1481  1 B 1.34
O  0.3701  0.5069  0.3576  1 B 1.41
O  0.4624  0.1391  0.2448  1 B 1.41
O  0.9558  0.8090  0.3024  1 B 1.41
O  0.6624  0.8174  0.4542  1 B 1.35
O  0.9065  0.2625  0.4493  1 B 1.39
O  0.0935  0.7375  0.5507  1 B 1.39
O  0.6299  0.4931  0.6424  1 B 1.41
O  0.3376  0.1826  0.5458  1 B 1.35


Entry from the Materials Project database: a relaxed Li2NiH8C2O10 crystal (PBE with a Hubbard U).

Values from the calculation:
symmetry	P2_1/c
E_form	-1.56	eV per atom
electronic total energy	-131.2	eV/f.u.
spin magnetization	4.0	μB/cell

a b c (Å): 5.8911 6.0596 12.0856
angles (deg): 67.92 90.00 90.00
Last column: nearest neighbours and their distance in Å.
Fractional coordinates of all 46 atoms:
Li  0.2771  0.7784  0.8154  2 O 1.95-2.15
Li  0.7771  0.2216  0.6846  2 O 1.95-2.15
Li  0.2229  0.7784  0.3154  2 O 1.95-2.15
Li  0.7229  0.2216  0.1846  2 O 1.95-2.15
Ni  0.0000  0.0000  0.0000  6 O 2.07-2.10
Ni  0.5000  0.0000  0.5000  6 O 2.07-2.10
H  0.6879  0.7653  0.9838  1 O 1.01
H  0.6729  0.3293  0.9286  1 O 1.00
H  0.9103  0.4496  0.8964  1 O 1.00
H  0.8356  0.8096  0.8634  1 O 1.01
H  0.4103  0.5504  0.6036  1 O 1.00
H  0.1729  0.6707  0.5714  1 O 1.00
H  0.3356  0.1904  0.6366  1 O 1.01
H  0.1879  0.2347  0.5162  1 O 1.01
H  0.8121  0.7653  0.4838  1 O 1.01
H  0.6644  0.8096  0.3634  1 O 1.01
H  0.8271  0.3293  0.4286  1 O 1.00
H  0.5897  0.4496  0.3964  1 O 1.00
H  0.1644  0.1904  0.1366  1 O 1.01
H  0.0897  0.5504  0.1036  1 O 1.00
H  0.3271  0.6707  0.0714  1 O 1.00
H  0.3121  0.2347  0.0162  1 O 1.01
C  0.3564  0.2646  0.8152  3 O 1.29-1.30
C  0.8564  0.7354  0.6848  3 O 1.29-1.30
C  0.1436  0.2646  0.3152  3 O 1.29-1.30
C  0.6436  0.7354  0.1848  3 O 1.29-1.30
O  0.8297  0.3195  0.9614  2 H 1.00
O  0.3976  0.3926  0.8784  1 C 1.30
O  0.7521  0.8922  0.9100  2 H 1.01
O  0.2048  0.0981  0.8464  1 C 1.29
O  0.9716  0.6974  0.7824  1 C 1.30
O  0.4716  0.3026  0.7176  1 C 1.30
O  0.7048  0.9019  0.6536  1 C 1.29
O  0.8976  0.6074  0.6216  1 C 1.30
O  0.3297  0.6805  0.5386  2 H 1.00
O  0.2521  0.1078  0.5900  2 H 1.01
O  0.7479  0.8922  0.4100  2 H 1.01
O  0.6703  0.3195  0.4614  2 H 1.00
O  0.1024  0.3926  0.3784  1 C 1.30
O  0.2952  0.0981  0.3464  1 C 1.29
O  0.5284  0.6974  0.2824  1 C 1.30
O  0.0284  0.3026  0.2176  1 C 1.30
O  0.7952  0.9019  0.1536  1 C 1.29
O  0.2479  0.1078  0.0900  2 H 1.01
O  0.6024  0.6074  0.1216  1 C 1.30
O  0.1703  0.6805  0.0386  2 H 1.00


Entry from the Materials Project database: a relaxed Li3TiMn4O8 crystal (PBE with a Hubbard U).

Values from the calculation:
symmetry	P-1
E_form	-2.35	eV per atom
ΔE to the lowest computed polymorph	3	meV/atom
electronic total energy	-115.2	eV/f.u.
spin magnetization	28.0	μB/cell

a b c (Å): 6.1363 10.6035 6.1674
angles (deg): 88.63 120.41 74.97
Last column: nearest neighbours and their distance in Å.
Fractional coordinates of all 32 atoms:
Li  0.9998  0.4992  0.0000  6 O 2.28-2.41
Li  0.0000  0.0011  0.5002  6 O 2.28-2.41
Li  0.0000  0.2500  0.7498  6 O 2.10-2.24
Li  0.0000  0.7500  0.2501  6 O 2.14-2.22
Li  0.5215  0.4851  0.5068  4 O 2.06-2.10
Li  0.4784  0.0149  0.9929  4 O 2.06-2.10
Ti  0.5001  0.2500  0.7501  6 O 1.97-2.07
Ti  0.4999  0.7500  0.2500  6 O 2.00-2.03
Mn  0.5000  0.7500  0.7501  6 O 2.18-2.22
Mn  0.5000  0.2500  0.2499  6 O 2.04-2.27
Mn  0.0069  0.0014  0.0001  6 O 2.16-2.24
Mn  0.9929  0.4987  0.4998  6 O 2.16-2.24
Mn  0.0003  0.2500  0.2501  6 O 2.18-2.20
Mn  0.0002  0.7499  0.7502  4 O 1.97-1.99
Mn  0.5013  0.9981  0.5066  6 O 2.14-2.24
Mn  0.4989  0.5018  0.9934  6 O 2.14-2.24
O  0.2431  0.6427  0.1015  1 Mn 1.99, 1 Ti 2.03, 1 Li 2.22
O  0.2748  0.1329  0.6364  1 Ti 1.97, 1 Li 2.06, 2 Mn 2.18
O  0.7254  0.3670  0.8636  1 Ti 1.97, 1 Li 2.06, 2 Mn 2.18
O  0.7568  0.8573  0.3986  1 Mn 1.99, 1 Ti 2.03, 1 Li 2.22
O  0.7818  0.8642  0.8635  4 Mn 1.97-2.20, 1 Li 2.18
O  0.7359  0.3699  0.3628  4 Mn 2.04-2.21, 2 Li 2.10-2.19
O  0.2641  0.1300  0.1371  4 Mn 2.04-2.21, 2 Li 2.10-2.19
O  0.2181  0.6359  0.6367  4 Mn 1.97-2.20, 1 Li 2.18
O  0.2680  0.8637  0.3605  1 Ti 2.02, 1 Li 2.14, 3 Mn 2.16-2.18
O  0.2690  0.3589  0.8780  1 Ti 2.07, 3 Mn 2.08-2.24, 1 Li 2.10
O  0.7147  0.6265  0.5883  1 Ti 2.00, 1 Li 2.06, 2 Mn 2.20-2.22
O  0.7349  0.1283  0.0943  1 Ti 2.01, 1 Li 2.08, 2 Mn 2.19
O  0.2652  0.3718  0.4057  1 Ti 2.02, 1 Li 2.08, 2 Mn 2.19
O  0.2852  0.8735  0.9118  1 Ti 2.00, 1 Li 2.06, 2 Mn 2.20-2.22
O  0.7311  0.1410  0.6217  1 Ti 2.07, 3 Mn 2.08-2.24, 1 Li 2.10
O  0.7317  0.6363  0.1394  1 Ti 2.02, 1 Li 2.14, 3 Mn 2.16-2.18


Entry from the Materials Project database: a relaxed Ba2NdMoO6 crystal (PBE with a Hubbard U).

Values from the calculation:
symmetry	Fm-3m
E_form	-2.94	eV per atom
electronic total energy	-71.2	eV/f.u.
spin magnetization	1.0	μB/cell

a b c (Å): 6.1245 6.1245 6.1245
angles (deg): 60.00 60.00 60.00
Last column: nearest neighbours and their distance in Å.
Fractional coordinates of all 10 atoms:
Ba  0.2500  0.2500  0.2500  12 O 3.07
Ba  0.7500  0.7500  0.7500  12 O 3.07
Nd  0.5000  0.5000  0.5000  6 O 2.33
Mo  0.0000  0.0000  0.0000  6 O 2.00
O  0.7690  0.2310  0.7690  1 Mo 2.00
O  0.7690  0.2310  0.2310  1 Mo 2.00
O  0.2310  0.7690  0.7690  1 Mo 2.00
O  0.2310  0.2310  0.7690  1 Mo 2.00
O  0.2310  0.7690  0.2310  1 Mo 2.00
O  0.7690  0.7690  0.2310  1 Mo 2.00


Entry from the Materials Project database: a relaxed Li9Mn7O16 crystal (PBE with a Hubbard U).

Values from the calculation:
symmetry	P-1
E_form	-2.12	eV per atom
ΔE to the lowest computed polymorph	24	meV/atom
electronic total energy	-205.7	eV/f.u.
spin magnetization	26.0	μB/cell

a b c (Å): 3.0131 6.0662 16.3728
angles (deg): 90.01 90.87 94.80
Last column: nearest neighbours and their distance in Å.
Fractional coordinates of all 32 atoms:
Li  0.9958  0.2430  0.8852  3 O 2.01-2.18
Li  0.5000  0.5000  0.0000  6 O 2.05-2.21
Li  0.0042  0.7570  0.1148  3 O 2.01-2.18
Li  0.5040  0.9962  0.7506  6 O 2.05-2.23
Li  0.9994  0.7503  0.6251  6 O 2.14-2.18
Li  0.5000  0.5000  0.5000  6 O 2.14-2.18
Li  0.0006  0.2497  0.3749  6 O 2.14-2.18
Li  0.4960  0.0038  0.2494  6 O 2.05-2.23
Li  0.5000  0.0000  0.0000  6 O 2.05-2.25
Mn  0.9970  0.7584  0.8810  4 O 1.82-2.02
Mn  0.0030  0.2416  0.1190  4 O 1.82-2.02
Mn  0.5084  0.4938  0.2489  4 O 1.94-1.99
Mn  0.0001  0.7490  0.3737  4 O 1.96-1.98
Mn  0.5000  0.0000  0.5000  4 O 1.96-1.97
Mn  0.9999  0.2510  0.6263  4 O 1.96-1.98
Mn  0.4916  0.5062  0.7511  4 O 1.94-1.99
O  0.4687  0.5314  0.8720  3 Mn 1.99-2.07, 2 Li 2.11-2.18
O  0.0043  0.7475  0.9919  1 Mn 1.82, 1 Li 2.01
O  0.4748  0.0333  0.1246  2 Mn 1.95-1.98, 3 Li 2.05-2.11
O  0.0309  0.2602  0.7473  2 Mn 1.95-1.98, 1 Li 2.16
O  0.5341  0.0061  0.6205  2 Mn 1.96-1.97, 3 Li 2.14-2.18
O  0.0329  0.7557  0.4942  2 Mn 1.96-1.97, 3 Li 2.14-2.18
O  0.5316  0.5053  0.3695  2 Mn 1.96-1.98, 3 Li 2.14-2.18
O  0.0347  0.2572  0.2433  2 Mn 1.94-2.04, 3 Li 2.14-2.16
O  0.5252  0.9667  0.8754  2 Mn 1.95-1.98, 3 Li 2.05-2.11
O  0.9957  0.2525  0.0081  1 Mn 1.82, 1 Li 2.01
O  0.5313  0.4686  0.1280  3 Mn 1.99-2.07, 2 Li 2.11-2.18
O  0.9653  0.7428  0.7567  2 Mn 1.94-2.04, 3 Li 2.14-2.16
O  0.4684  0.4947  0.6305  2 Mn 1.96-1.98, 3 Li 2.14-2.18
O  0.9671  0.2443  0.5058  2 Mn 1.96-1.97, 3 Li 2.14-2.18
O  0.4659  0.9939  0.3795  2 Mn 1.96-1.97, 3 Li 2.14-2.18
O  0.9691  0.7398  0.2527  2 Mn 1.95-1.98, 1 Li 2.16